# RuO4 (meta-GGA r2SCAN, optimized geometry)
data_RuO4
_symmetry_space_group_name_H-M 'P -4 3 n'
_symmetry_Int_Tables_number 218
_symmetry_space_group_name_Hall 'P -4n 2 3'
_cell_length_a 8.467
_cell_length_b 8.467
_cell_length_c 8.467
_cell_angle_alpha 90.00
_cell_angle_beta 90.00
_cell_angle_gamma 90.00
loop_
_atom_site_label
_atom_site_fract_x
_atom_site_fract_y
_atom_site_fract_z
_atom_site_occupancy
Ru1 0.000 0.000 0.000 1
Ru2 0.000 0.250 0.500 1
O1 0.115 0.115 0.885 1
O2 0.115 0.135 0.385 1
# formation energy	-0.676	eV per atom
# crystal system	cubic


# Sm2Ru2O7 (meta-GGA r2SCAN, optimized geometry)
data_Sm2Ru2O7
_symmetry_space_group_name_H-M 'I 41/a m d'
_symmetry_Int_Tables_number 141
_cell_length_a 7.277
_cell_length_b 7.277
_cell_length_c 10.297
_cell_angle_alpha 90.00
_cell_angle_beta 90.00
_cell_angle_gamma 90.00
loop_
_symmetry_equiv_pos_as_xyz
'x,y,z'
'-x,-y,-z'
'-y+1/4,x+3/4,z+1/4'
'y+1/4,-x+3/4,-z+1/4'
'-x+1/2,-y,z+1/2'
'x+1/2,y,-z+1/2'
'y+1/4,-x+1/4,z+3/4'
'-y+1/4,x+1/4,-z+3/4'
'x,-y,-z'
'-x,y,z'
'-y+1/4,-x+1/4,-z+3/4'
'y+1/4,x+1/4,z+3/4'
'-x+1/2,y,-z+1/2'
'x+1/2,-y,z+1/2'
'y+1/4,x+3/4,-z+1/4'
'-y+1/4,-x+3/4,z+1/4'
'x+1/2,y+1/2,z+1/2'
'-x+1/2,-y+1/2,-z+1/2'
'-y+3/4,x+1/4,z+3/4'
'y+3/4,-x+1/4,-z+3/4'
'-x,-y+1/2,z'
'x,y+1/2,-z'
'y+3/4,-x+3/4,z+1/4'
'-y+3/4,x+3/4,-z+1/4'
'x+1/2,-y+1/2,-z+1/2'
'-x+1/2,y+1/2,z+1/2'
'-y+3/4,-x+3/4,-z+1/4'
'y+3/4,x+3/4,z+1/4'
'-x,y+1/2,-z'
'x,-y+1/2,z'
'y+3/4,x+1/4,-z+3/4'
'-y+3/4,-x+1/4,z+3/4'
loop_
_atom_site_label
_atom_site_fract_x
_atom_site_fract_y
_atom_site_fract_z
_atom_site_occupancy
Sm1 0.000 0.000 0.000 1
Ru1 0.000 0.000 0.500 1
O1 0.000 0.250 0.165 1
O2 0.000 0.250 0.875 1
O3 0.207 0.043 0.375 1
# formation energy	-2.426	eV per atom
# crystal system	tetragonal


Which of these has the lowest formation energy? Sm2Ru2O7


Repeat the first record exactly.
# RuO4 (meta-GGA r2SCAN, optimized geometry)
data_RuO4
_symmetry_space_group_name_H-M 'P -4 3 n'
_symmetry_Int_Tables_number 218
_symmetry_space_group_name_Hall 'P -4n 2 3'
_cell_length_a 8.467
_cell_length_b 8.467
_cell_length_c 8.467
_cell_angle_alpha 90.00
_cell_angle_beta 90.00
_cell_angle_gamma 90.00
loop_
_atom_site_label
_atom_site_fract_x
_atom_site_fract_y
_atom_site_fract_z
_atom_site_occupancy
Ru1 0.000 0.000 0.000 1
Ru2 0.000 0.250 0.500 1
O1 0.115 0.115 0.885 1
O2 0.115 0.135 0.385 1
# formation energy	-0.676	eV per atom
# crystal system	cubic


Number 2 is which compound? Sm2Ru2O7